No. 1
Compound: MgCO3
Source: the Materials Project
Functional: GGA-PBE
Structure: optimized geometry

a b c (Å): 5.7448 5.7448 5.7448
angles (deg): 48.21 48.21 48.21
Fractional positions:
Mg: 0.0000 0.0000 0.0000
Mg: 0.5000 0.5000 0.5000
C: 0.2500 0.2500 0.2500
C: 0.7500 0.7500 0.7500
O: 0.0265 0.7500 0.4735
O: 0.2500 0.5265 0.9735
O: 0.4735 0.0265 0.7500
O: 0.5265 0.9735 0.2500
O: 0.7500 0.4735 0.0265
O: 0.9735 0.2500 0.5265

## Properties
- ρ: 2899 kg/m³
- E_tot: -7.171 eV per atom

=====

No. 2
Compound: Mg5C4O18
Source: the Materials Project
Functional: GGA-PBE
Structure: optimized geometry

a b c (Å): 10.0796 9.1677 8.4036
angles (deg): 90.00 114.16 90.00
Fractional positions:
Mg: 0.0000 0.0000 0.0000
Mg: 0.0000 0.5000 0.5000
Mg: 0.3478 0.0676 0.3581
Mg: 0.3478 0.4324 0.8581
Mg: 0.3495 0.0653 0.9915
Mg: 0.3495 0.4347 0.4915
Mg: 0.6505 0.5653 0.5085
Mg: 0.6505 0.9347 0.0085
Mg: 0.6522 0.5676 0.1419
Mg: 0.6522 0.9324 0.6419
C: 0.0835 0.2329 0.7698
C: 0.0835 0.2671 0.2698
C: 0.4767 0.1683 0.7373
C: 0.4767 0.3317 0.2373
C: 0.5233 0.6683 0.7627
C: 0.5233 0.8317 0.2627
C: 0.9165 0.7329 0.7302
C: 0.9165 0.7671 0.2302
O: 0.0148 0.1238 0.7960
O: 0.0153 0.1734 0.1547
O: 0.0153 0.3266 0.6547
O: 0.0148 0.3762 0.2960
O: 0.2181 0.0021 0.1104
O: 0.2181 0.4979 0.6103
O: 0.2238 0.2440 0.8619
O: 0.2238 0.2560 0.3619
O: 0.2256 0.5793 0.9498
O: 0.2256 0.9207 0.4498
O: 0.2480 0.6115 0.3117
O: 0.2480 0.8885 0.8117
O: 0.4350 0.1983 0.2170
O: 0.4350 0.3017 0.7170
O: 0.4975 0.0999 0.6138
O: 0.4969 0.0995 0.8812
O: 0.4975 0.4001 0.1138
O: 0.4969 0.4005 0.3812
O: 0.5031 0.5995 0.6188
O: 0.5025 0.5999 0.8862
O: 0.5031 0.9005 0.1188
O: 0.5025 0.9001 0.3862
O: 0.5650 0.6983 0.2830
O: 0.5650 0.8017 0.7830
O: 0.7520 0.1115 0.1883
O: 0.7520 0.3885 0.6883
O: 0.7744 0.0793 0.5502
O: 0.7744 0.4207 0.0502
O: 0.7762 0.7440 0.6381
O: 0.7762 0.7560 0.1381
O: 0.7819 0.5021 0.3896
O: 0.7819 0.9979 0.8896
O: 0.9852 0.6238 0.7040
O: 0.9847 0.6734 0.3453
O: 0.9847 0.8266 0.8453
O: 0.9852 0.8762 0.2040

## Properties
- ρ: 2145 kg/m³
- E_tot: -6.172 eV per atom
- Size of the total moment: 12.00 μB/cell

=====

No. 3
Compound: Mg3CO4
Source: the Materials Project
Functional: GGA-PBE
Structure: optimized geometry

a b c (Å): 4.1987 4.1987 4.1987
angles (deg): 90.00 90.00 90.00
Fractional positions:
Mg: 0.0000 0.0000 0.5000
Mg: 0.0000 0.5000 0.0000
Mg: 0.5000 0.0000 0.0000
C: 0.5000 0.5000 0.5000
O: 0.0000 0.0000 0.0000
O: 0.0000 0.5000 0.5000
O: 0.5000 0.0000 0.5000
O: 0.5000 0.5000 0.0000

## Properties
- ρ: 3341 kg/m³
- E_tot: -5.701 eV per atom
- Size of the total moment: 0.00 μB/cell

=====

No. 4
Compound: Mg5C4O18
Source: the Materials Project
Functional: GGA-PBE
Structure: optimized geometry

a b c (Å): 10.2300 10.2300 9.0927
angles (deg): 90.00 90.00 131.38
Fractional positions:
Mg: 0.0000 0.0000 0.0000
Mg: 0.0090 0.3582 0.0627
Mg: 0.1418 0.4910 0.4373
Mg: 0.3582 0.0090 0.9373
Mg: 0.4910 0.1418 0.5627
Mg: 0.5000 0.5000 0.5000
Mg: 0.5090 0.8582 0.4373
Mg: 0.6418 0.9910 0.0627
Mg: 0.8582 0.5090 0.5627
Mg: 0.9910 0.6418 0.9373
C: 0.2067 0.2933 0.2500
C: 0.2367 0.7633 0.6689
C: 0.2633 0.7367 0.1689
C: 0.2933 0.2067 0.7500
C: 0.7067 0.7933 0.2500
C: 0.7367 0.2633 0.8311
C: 0.7633 0.2367 0.3311
C: 0.7933 0.7067 0.7500
O: 0.0589 0.2995 0.6015
O: 0.1085 0.8915 0.9998
O: 0.1138 0.6197 0.6003
O: 0.1197 0.6138 0.1003
O: 0.1369 0.3631 0.2500
O: 0.1705 0.1872 0.1499
O: 0.1872 0.1705 0.8501
O: 0.2005 0.4411 0.8985
O: 0.2159 0.7841 0.8036
O: 0.2841 0.7159 0.3036
O: 0.2995 0.0589 0.3985
O: 0.3128 0.3295 0.3501
O: 0.3295 0.3128 0.6499
O: 0.3631 0.1369 0.7500
O: 0.3803 0.8862 0.6003
O: 0.3862 0.8803 0.1003
O: 0.3915 0.6085 0.4998
O: 0.4411 0.2005 0.1015
O: 0.5589 0.7995 0.8985
O: 0.6085 0.3915 0.5002
O: 0.6138 0.1197 0.8997
O: 0.6197 0.1138 0.3997
O: 0.6369 0.8631 0.2500
O: 0.6705 0.6872 0.3501
O: 0.6872 0.6705 0.6499
O: 0.7005 0.9411 0.6015
O: 0.7159 0.2841 0.6964
O: 0.7841 0.2159 0.1964
O: 0.7995 0.5589 0.1015
O: 0.8128 0.8295 0.1499
O: 0.8295 0.8128 0.8501
O: 0.8631 0.6369 0.7500
O: 0.8803 0.3862 0.8997
O: 0.8862 0.3803 0.3997
O: 0.8915 0.1085 0.0002
O: 0.9411 0.7005 0.3985

## Properties
- ρ: 2128 kg/m³
- E_tot: -6.176 eV per atom
- Size of the total moment: 20.00 μB/cell

=====

No. 5
Compound: MgCO3
Source: the Materials Project
Functional: GGA-PBE
Structure: optimized geometry

a b c (Å): 9.5253 7.1423 8.2434
angles (deg): 90.00 102.90 90.00
Fractional positions:
O: 0.2511 0.6609 0.1535
O: 0.3362 0.8218 0.3878
O: 0.5005 0.2998 0.7410
O: 0.8362 0.6782 0.3878
O: 0.7511 0.1609 0.1535
O: 0.0005 0.7998 0.7410
O: 0.5005 0.7002 0.7410
O: 0.3861 0.0000 0.0536
O: 0.3624 0.5000 0.3947
O: 0.8861 0.5000 0.0536
O: 0.8362 0.3218 0.3878
O: 0.1376 0.0000 0.6053
O: 0.1638 0.6782 0.6122
O: 0.0005 0.2002 0.7410
O: 0.1638 0.3218 0.6122
O: 0.1413 0.0000 0.0349
O: 0.6637 0.1782 0.6122
O: 0.7511 0.8391 0.1535
O: 0.6637 0.8218 0.6122
O: 0.7489 0.3391 0.8465
O: 0.6413 0.5000 0.0349
O: 0.2511 0.3391 0.1535
O: 0.4995 0.7002 0.2590
O: 0.6139 0.0000 0.9464
O: 0.7489 0.6609 0.8465
O: 0.8587 0.0000 0.9651
O: 0.1139 0.5000 0.9464
O: 0.3362 0.1782 0.3878
O: 0.2489 0.8391 0.8465
O: 0.6376 0.5000 0.6053
O: 0.4995 0.2998 0.2590
O: 0.3587 0.5000 0.9651
O: 0.8624 0.0000 0.3947
O: 0.2489 0.1609 0.8465
O: 0.9995 0.7998 0.2590
O: 0.9995 0.2002 0.2590
Mg: 0.5269 0.0000 0.7002
Mg: 0.4731 0.0000 0.2998
Mg: 0.5000 0.2700 0.0000
Mg: 0.0269 0.5000 0.7002
Mg: 0.1582 0.0000 0.3458
Mg: 0.3418 0.5000 0.6542
Mg: 0.0000 0.7700 0.0000
Mg: 0.5000 0.7300 0.0000
Mg: 0.0000 0.2300 0.0000
Mg: 0.6582 0.5000 0.3458
Mg: 0.9731 0.5000 0.2998
Mg: 0.8418 0.0000 0.6542
C: 0.1346 0.8243 0.7009
C: 0.8654 0.8243 0.2991
C: 0.2490 0.5000 0.0432
C: 0.3654 0.3243 0.2991
C: 0.1346 0.1757 0.7009
C: 0.6346 0.6757 0.7009
C: 0.3654 0.6757 0.2991
C: 0.6346 0.3243 0.7009
C: 0.2510 0.0000 0.9568
C: 0.7510 0.5000 0.9568
C: 0.8654 0.1757 0.2991
C: 0.7490 0.0000 0.0432

## Properties
- ρ: 3073 kg/m³
- E_tot: -6.856 eV per atom
- Size of the total moment: 0.00 μB/cell

=====

No. 6
Compound: Mg9Si10Pb8C3O48
Source: the Materials Project
Functional: GGA-PBE
Structure: optimized geometry

a b c (Å): 9.5283 9.5283 14.2326
angles (deg): 95.67 95.67 60.61
Fractional positions:
Mg: 0.0000 0.0000 0.0000
Mg: 0.0190 0.6407 0.9905
Mg: 0.0228 0.3132 0.0080
Mg: 0.3469 0.3231 0.0021
Mg: 0.3487 0.6513 0.0000
Mg: 0.3593 0.9810 0.0095
Mg: 0.6769 0.6531 0.9979
Mg: 0.6803 0.3197 0.0000
Mg: 0.6868 0.9772 0.9920
Si: 0.1459 0.4762 0.1970
Si: 0.2159 0.1858 0.8135
Si: 0.2377 0.4926 0.8009
Si: 0.4803 0.4521 0.1933
Si: 0.5074 0.7623 0.1991
Si: 0.5238 0.8541 0.8030
Si: 0.5479 0.5197 0.8067
Si: 0.7925 0.1185 0.1960
Si: 0.8142 0.7841 0.1865
Si: 0.8815 0.2075 0.8040
Pb: 0.1001 0.8229 0.6668
Pb: 0.1771 0.8999 0.3332
Pb: 0.1808 0.1586 0.5497
Pb: 0.3806 0.1518 0.3326
Pb: 0.6476 0.0747 0.6658
Pb: 0.8414 0.8192 0.4503
Pb: 0.8482 0.6194 0.6674
Pb: 0.9253 0.3524 0.3342
C: 0.1711 0.4839 0.5015
C: 0.5161 0.8289 0.4985
C: 0.8610 0.1390 0.5000
O: 0.0347 0.2240 0.7704
O: 0.0359 0.4795 0.5039
O: 0.0794 0.6272 0.7438
O: 0.1251 0.7795 0.0571
O: 0.1391 0.3408 0.2545
O: 0.1402 0.4440 0.0820
O: 0.1416 0.0900 0.0652
O: 0.1648 0.6205 0.4959
O: 0.1687 0.1406 0.3937
O: 0.2205 0.8749 0.9429
O: 0.2272 0.2019 0.9276
O: 0.2341 0.5209 0.9161
O: 0.2563 0.3126 0.7670
O: 0.3047 0.3507 0.5046
O: 0.3152 0.4768 0.2356
O: 0.3439 0.0040 0.7713
O: 0.3728 0.9206 0.2562
O: 0.3795 0.8352 0.5041
O: 0.3961 0.4931 0.7636
O: 0.4643 0.4467 0.0781
O: 0.4779 0.1074 0.0615
O: 0.4791 0.7659 0.0839
O: 0.5069 0.6039 0.2364
O: 0.5149 0.4851 0.5000
O: 0.5205 0.9641 0.4961
O: 0.5232 0.6848 0.7644
O: 0.5533 0.5357 0.9219
O: 0.5560 0.8598 0.9180
O: 0.5601 0.1958 0.9368
O: 0.6324 0.2859 0.2327
O: 0.6493 0.6953 0.4954
O: 0.6592 0.8609 0.7455
O: 0.6874 0.7437 0.2330
O: 0.7141 0.3676 0.7673
O: 0.7278 0.1339 0.4934
O: 0.7760 0.9653 0.2296
O: 0.7981 0.7728 0.0724
O: 0.7988 0.1119 0.0819
O: 0.8042 0.4399 0.0632
O: 0.8594 0.8313 0.6063
O: 0.8661 0.2722 0.5066
O: 0.8848 0.0514 0.7434
O: 0.8881 0.2012 0.9181
O: 0.8926 0.5221 0.9385
O: 0.9100 0.8584 0.9348
O: 0.9486 0.1152 0.2566
O: 0.9960 0.6561 0.2287
O: 0.9982 0.0018 0.5000

## Properties
- ρ: 4397 kg/m³
- E_tot: -6.663 eV per atom
- Size of the total moment: 10.00 μB/cell

=====

No. 7
Compound: RbMg14CO16
Source: the Materials Project
Functional: GGA-PBE
Structure: optimized geometry

a b c (Å): 8.7565 8.7565 4.2884
angles (deg): 90.00 90.00 90.00
Fractional positions:
Rb: 0.0000 0.0000 0.0000
Mg: 0.0000 0.2641 0.5000
Mg: 0.0000 0.5000 0.0000
Mg: 0.0000 0.7359 0.5000
Mg: 0.2551 0.2551 0.0000
Mg: 0.2551 0.5000 0.5000
Mg: 0.2551 0.7449 0.0000
Mg: 0.2641 0.0000 0.5000
Mg: 0.5000 0.0000 0.0000
Mg: 0.5000 0.2551 0.5000
Mg: 0.5000 0.7449 0.5000
Mg: 0.7359 0.0000 0.5000
Mg: 0.7449 0.2551 0.0000
Mg: 0.7449 0.5000 0.5000
Mg: 0.7449 0.7449 0.0000
C: 0.5000 0.5000 0.0000
O: 0.0000 0.0000 0.5000
O: 0.0000 0.2799 0.0000
O: 0.0000 0.5000 0.5000
O: 0.0000 0.7201 0.0000
O: 0.2505 0.2505 0.5000
O: 0.2505 0.7495 0.5000
O: 0.2605 0.5000 0.0000
O: 0.2799 0.0000 0.0000
O: 0.5000 0.0000 0.5000
O: 0.5000 0.2605 0.0000
O: 0.5000 0.5000 0.5000
O: 0.5000 0.7395 0.0000
O: 0.7201 0.0000 0.0000
O: 0.7395 0.5000 0.0000
O: 0.7495 0.2505 0.5000
O: 0.7495 0.7495 0.5000

## Properties
- ρ: 3503 kg/m³
- E_tot: -5.616 eV per atom
- Size of the total moment: 0.30 μB/cell

=====

No. 8
Compound: RbMg14CO16
Source: the Materials Project
Functional: GGA-PBE
Structure: optimized geometry

a b c (Å): 4.5803 8.1462 9.1550
angles (deg): 90.00 90.00 90.00
Fractional positions:
Rb: 0.0000 0.0000 0.0000
Mg: 0.0000 0.0000 0.5000
Mg: 0.0000 0.2545 0.2747
Mg: 0.0000 0.2545 0.7253
Mg: 0.0000 0.5000 0.5000
Mg: 0.0000 0.7455 0.2747
Mg: 0.0000 0.7455 0.7253
Mg: 0.5000 0.0000 0.2570
Mg: 0.5000 0.0000 0.7430
Mg: 0.5000 0.2517 0.5000
Mg: 0.5000 0.2582 0.0000
Mg: 0.5000 0.5000 0.2481
Mg: 0.5000 0.5000 0.7519
Mg: 0.5000 0.7418 0.0000
Mg: 0.5000 0.7483 0.5000
C: 0.0000 0.5000 0.0000
O: 0.0000 0.0000 0.2794
O: 0.0000 0.0000 0.7206
O: 0.0000 0.2498 0.5000
O: 0.0000 0.3409 0.0000
O: 0.0000 0.5000 0.2792
O: 0.0000 0.5000 0.7208
O: 0.0000 0.6591 0.0000
O: 0.0000 0.7502 0.5000
O: 0.5000 0.0000 0.0000
O: 0.5000 0.0000 0.5000
O: 0.5000 0.2494 0.2451
O: 0.5000 0.2494 0.7549
O: 0.5000 0.5000 0.0000
O: 0.5000 0.5000 0.5000
O: 0.5000 0.7506 0.2451
O: 0.5000 0.7506 0.7549

## Properties
- ρ: 3372 kg/m³
- E_tot: -5.674 eV per atom
- Size of the total moment: 0.99 μB/cell

=====

Corrected total energy (MP2020 scheme) for the records above, in order: -7.583; -6.630; -6.045; -6.634; -7.268; -7.086; -5.960; -6.018 eV per atom